CdSiN2: relaxed, PBE.

**E**: -6.30 eV per atom

Unit cell a=5.4333 b=6.7660 c=5.3027 alpha=90.00 beta=90.00 gamma=90.00
With the nearest neighbours (Å) after each atom.
Fractional positions:
Cd1 0.0768 0.1241 0.0000  4 N 2.29-2.31
Cd2 0.4232 0.6241 0.5000  4 N 2.29-2.31
Cd3 0.5768 0.3759 0.0000  4 N 2.29-2.31
Cd4 0.9232 0.8759 0.5000  4 N 2.29-2.31
Si1 0.0624 0.6248 0.0028  4 N 1.75-1.77
Si2 0.4376 0.1248 0.5028  4 N 1.75-1.77
Si3 0.5624 0.8752 0.0028  4 N 1.75-1.77
Si4 0.9376 0.3752 0.5028  4 N 1.75-1.77
N1 0.0372 0.5797 0.3288  2 Si 1.75-1.76
N2 0.1254 0.1701 0.4271  2 Si 1.77
N3 0.3746 0.6701 0.9271  2 Si 1.77
N4 0.4628 0.0797 0.8288  2 Si 1.75-1.76
N5 0.5372 0.9203 0.3288  2 Si 1.75-1.76
N6 0.6254 0.3299 0.4271  2 Si 1.77
N7 0.8746 0.8299 0.9271  2 Si 1.77
N8 0.9628 0.4203 0.8288  2 Si 1.75-1.76